Entry 1:
{"formula": "ZnH6C2N2Cl4", "functional": "PBE-GGA", "state": "optimized geometry", "crystal_system": "monoclinic", "lattice_angstrom": [[-6.381, 7.229, -8.934], [2.033, -4.862, -5.387], [-10.883, -8.152, 1.177]], "species": ["H", "H", "H", "C", "Cl", "Cl", "Cl", "H", "Cl", "N", "N", "Cl", "N", "Cl", "N", "H", "C", "H", "Zn", "H", "H", "H", "Cl", "H", "N", "C", "Cl", "Cl", "H", "Cl", "Cl", "H", "H", "H", "C", "H", "H", "N", "Zn", "Cl", "C", "H", "Zn", "H", "H", "H", "Cl", "H", "Zn", "Cl", "C", "C", "H", "H", "N", "Cl", "Cl", "H", "N", "C"], "fractional_positions": [[0.621, 0.475, 0.958], [0.174, 0.142, 0.907], [0.877, 0.675, 0.170], [0.107, 0.227, 0.894], [0.903, 0.496, 0.904], [0.627, 0.993, 0.349], [0.403, 0.504, 0.596], [0.357, 0.791, 0.374], [0.127, 0.007, 0.151], [0.938, 0.054, 0.626], [0.851, 0.725, 0.357], [0.627, 0.214, 0.718], [0.649, 0.725, 0.857], [0.597, 0.496, 0.404], [0.062, 0.946, 0.374], [0.857, 0.209, 0.126], [0.393, 0.227, 0.394], [0.326, 0.142, 0.407], [0.586, 0.738, 0.294], [0.623, 0.675, 0.670], [0.379, 0.525, 0.042], [0.123, 0.325, 0.830], [0.612, 0.651, 0.145], [0.643, 0.209, 0.626], [0.438, 0.946, 0.874], [0.866, 0.594, 0.409], [0.373, 0.786, 0.282], [0.112, 0.349, 0.355], [0.462, 0.151, 0.378], [0.388, 0.349, 0.855], [0.873, 0.214, 0.218], [0.826, 0.858, 0.093], [0.962, 0.849, 0.122], [0.879, 0.475, 0.458], [0.634, 0.594, 0.909], [0.674, 0.858, 0.593], [0.143, 0.791, 0.874], [0.351, 0.275, 0.143], [0.914, 0.738, 0.794], [0.097, 0.504, 0.096], [0.893, 0.773, 0.106], [0.594, 0.706, 0.540], [0.414, 0.262, 0.706], [0.377, 0.325, 0.330], [0.038, 0.151, 0.878], [0.094, 0.294, 0.960], [0.127, 0.786, 0.782], [0.121, 0.525, 0.542], [0.086, 0.262, 0.206], [0.373, 0.007, 0.651], [0.366, 0.406, 0.091], [0.134, 0.406, 0.591], [0.906, 0.706, 0.040], [0.538, 0.849, 0.622], [0.562, 0.054, 0.126], [0.888, 0.651, 0.645], [0.873, 0.993, 0.849], [0.406, 0.294, 0.460], [0.149, 0.275, 0.643], [0.607, 0.773, 0.606]]}

***

Entry 2:
{"formula": "Ce2NiSn4", "functional": "PBE-GGA", "state": "optimized geometry", "crystal_system": "orthorhombic", "lattice_angstrom": [[0.513, 0.577, -8.865], [-4.554, -1.981, 7.384], [-1.538, 4.227, 0.186]], "species": ["Sn", "Sn", "Ce", "Sn", "Ce", "Ni", "Sn"], "fractional_positions": [[0.241, 0.759, 0.500], [0.742, 0.258, 0.000], [0.105, 0.895, 0.000], [0.455, 0.545, 0.000], [0.896, 0.104, 0.500], [0.311, 0.689, 0.000], [0.566, 0.434, 0.500]]}

***

Entry 3:
{"formula": "CaTi2Zn2P2O10", "functional": "PBE-GGA", "state": "optimized geometry", "crystal_system": "triclinic", "lattice_angstrom": [[3.172, -0.127, 4.513], [-3.337, 6.733, 0.316], [-0.483, 0.162, 9.417]], "species": ["O", "O", "O", "O", "P", "O", "Zn", "Zn", "O", "Ca", "O", "Ti", "O", "O", "Ti", "O", "P"], "fractional_positions": [[0.409, 0.462, 0.761], [0.592, 0.528, 0.237], [0.150, 0.573, 0.232], [0.981, 0.810, 0.852], [0.549, 0.682, 0.147], [0.469, 0.839, 0.259], [0.692, 0.801, 0.641], [0.212, 0.199, 0.384], [0.310, 0.206, 0.569], [0.469, 0.994, 0.020], [0.582, 0.168, 0.728], [0.491, 0.482, 0.505], [0.060, 0.190, 0.139], [0.683, 0.789, 0.426], [0.404, 0.958, 0.480], [0.875, 0.445, 0.759], [0.479, 0.320, 0.844]]}

***

Entry 4:
{"formula": "BaTaS3", "functional": "PBE-GGA", "state": "optimized geometry", "crystal_system": "hexagonal", "lattice_angstrom": [[3.473, -6.015, 0.000], [3.473, 6.015, 0.000], [0.000, 0.000, 5.753]], "species": ["Ta", "S", "Ta", "Ba", "Ba", "S", "S", "S", "S", "S"], "fractional_positions": [[0.000, 0.000, 0.000], [0.170, 0.830, 0.250], [0.000, 0.000, 0.500], [0.667, 0.333, 0.250], [0.333, 0.667, 0.750], [0.830, 0.170, 0.750], [0.339, 0.170, 0.750], [0.830, 0.661, 0.750], [0.661, 0.830, 0.250], [0.170, 0.339, 0.250]]}

***

Entry 5:
{"formula": "RbH2I3O9", "functional": "PBE-GGA", "state": "optimized geometry", "crystal_system": "monoclinic", "lattice_angstrom": [[8.158, 0.000, -3.125], [-8.133, 0.000, -10.488], [0.000, 25.999, 0.000]], "species": ["I", "O", "I", "I", "O", "I", "H", "O", "O", "O", "O", "I", "H", "I", "O", "O", "O", "I", "I", "O", "I", "I", "I", "I", "O", "O", "O", "O", "I", "Rb", "O", "O", "O", "O", "I", "H", "O", "O", "O", "O", "O", "O", "I", "O", "O", "Rb", "I", "I", "Rb", "H", "Rb", "H", "I", "I", "O", "I", "O", "O", "O", "H", "O", "O", "I", "O", "O", "O", "O", "O", "H", "O", "O", "O", "O", "H", "I", "O", "O", "I", "O", "O", "O", "O", "O", "O", "O", "O", "Rb", "I", "Rb", "O", "I", "O", "I", "I", "O", "O", "O", "O", "O", "O", "O", "O", "O", "Rb", "Rb", "H", "H", "O", "O", "O", "O", "O", "O", "O", "Rb", "O", "O", "O", "O", "O", "O", "O", "I", "O", "H", "I", "I", "O", "O", "O", "Rb", "O", "O", "H", "O", "O", "O", "H", "O", "O", "O", "H", "O", "O", "H", "O", "O", "O", "I", "H", "Rb", "O", "O", "H", "H", "I", "O", "H", "O", "O", "Rb", "O", "H", "O", "I", "H", "I", "O", "O", "H", "O", "O", "O", "O", "I", "O", "H", "I", "H", "O"], "fractional_positions": [[0.911, 0.730, 0.305], [0.933, 0.857, 0.215], [0.524, 0.079, 0.317], [0.411, 0.230, 0.195], [0.767, 0.675, 0.628], [0.557, 0.093, 0.081], [0.586, 0.123, 0.453], [0.800, 0.250, 0.134], [0.733, 0.825, 0.128], [0.999, 0.863, 0.329], [0.779, 0.522, 0.274], [0.010, 0.050, 0.298], [0.171, 0.516, 0.493], [0.057, 0.593, 0.419], [0.110, 0.337, 0.632], [0.086, 0.701, 0.275], [0.436, 0.375, 0.461], [0.735, 0.103, 0.805], [0.589, 0.770, 0.805], [0.267, 0.175, 0.872], [0.095, 0.768, 0.801], [0.233, 0.096, 0.805], [0.490, 0.450, 0.798], [0.267, 0.404, 0.305], [0.418, 0.799, 0.963], [0.010, 0.326, 0.061], [0.341, 0.585, 0.631], [0.633, 0.998, 0.943], [0.765, 0.397, 0.305], [0.572, 0.599, 0.428], [0.423, 0.861, 0.272], [0.455, 0.313, 0.773], [0.067, 0.143, 0.785], [0.918, 0.299, 0.537], [0.905, 0.232, 0.199], [0.112, 0.720, 0.893], [0.458, 0.921, 0.163], [0.545, 0.687, 0.227], [0.200, 0.750, 0.866], [0.820, 0.305, 0.839], [0.099, 0.260, 0.168], [0.367, 0.002, 0.057], [0.767, 0.904, 0.195], [0.159, 0.915, 0.131], [0.001, 0.137, 0.671], [0.428, 0.401, 0.572], [0.595, 0.268, 0.699], [0.265, 0.897, 0.195], [0.922, 0.252, 0.426], [0.914, 0.377, 0.953], [0.182, 0.930, 0.425], [0.086, 0.623, 0.047], [0.235, 0.603, 0.695], [0.384, 0.270, 0.414], [0.390, 0.163, 0.132], [0.405, 0.732, 0.301], [0.074, 0.693, 0.038], [0.926, 0.307, 0.962], [0.042, 0.579, 0.663], [0.245, 0.945, 0.104], [0.567, 0.643, 0.715], [0.335, 0.354, 0.048], [0.733, 0.596, 0.695], [0.082, 0.701, 0.463], [0.680, 0.195, 0.339], [0.139, 0.971, 0.836], [0.279, 0.022, 0.226], [0.426, 0.807, 0.538], [0.956, 0.312, 0.999], [0.719, 0.676, 0.053], [0.281, 0.324, 0.947], [0.320, 0.805, 0.661], [0.221, 0.478, 0.726], [0.671, 0.016, 0.007], [0.616, 0.730, 0.586], [0.861, 0.029, 0.164], [0.721, 0.978, 0.774], [0.089, 0.270, 0.695], [0.045, 0.187, 0.273], [0.901, 0.740, 0.832], [0.200, 0.003, 0.729], [0.867, 0.502, 0.443], [0.586, 0.201, 0.225], [0.659, 0.415, 0.369], [0.955, 0.813, 0.727], [0.700, 0.503, 0.771], [0.682, 0.430, 0.075], [0.990, 0.950, 0.702], [0.578, 0.248, 0.926], [0.490, 0.174, 0.561], [0.510, 0.550, 0.202], [0.481, 0.005, 0.624], [0.884, 0.770, 0.086], [0.195, 0.423, 0.083], [0.303, 0.976, 0.955], [0.499, 0.363, 0.171], [0.658, 0.888, 0.665], [0.019, 0.495, 0.124], [0.700, 0.250, 0.634], [0.610, 0.837, 0.868], [0.197, 0.524, 0.455], [0.936, 0.875, 0.039], [0.219, 0.176, 0.447], [0.422, 0.752, 0.074], [0.072, 0.099, 0.072], [0.695, 0.660, 0.990], [0.755, 0.055, 0.896], [0.077, 0.639, 0.772], [0.800, 0.997, 0.271], [0.577, 0.139, 0.728], [0.510, 0.826, 0.439], [0.957, 0.066, 0.364], [0.783, 0.473, 0.964], [0.890, 0.663, 0.368], [0.078, 0.748, 0.574], [0.835, 0.854, 0.452], [0.043, 0.934, 0.636], [0.841, 0.085, 0.869], [0.543, 0.434, 0.864], [0.433, 0.357, 0.285], [0.300, 0.497, 0.229], [0.990, 0.674, 0.939], [0.476, 0.921, 0.683], [0.300, 0.750, 0.366], [0.329, 0.984, 0.993], [0.116, 0.230, 0.914], [0.943, 0.407, 0.581], [0.180, 0.695, 0.161], [0.665, 0.646, 0.952], [0.914, 0.299, 0.725], [0.928, 0.901, 0.928], [0.519, 0.995, 0.376], [0.501, 0.637, 0.829], [0.888, 0.280, 0.107], [0.457, 0.566, 0.136], [0.217, 0.527, 0.036], [0.283, 0.973, 0.536], [0.414, 0.877, 0.547], [0.414, 0.799, 0.775], [0.958, 0.421, 0.337], [0.582, 0.201, 0.037], [0.829, 0.484, 0.507], [0.165, 0.146, 0.548], [0.717, 0.027, 0.464], [0.745, 0.445, 0.396], [0.923, 0.361, 0.228], [0.158, 0.388, 0.835], [0.064, 0.125, 0.961], [0.024, 0.579, 0.183], [0.305, 0.340, 0.010], [0.318, 0.570, 0.925], [0.639, 0.471, 0.664], [0.542, 0.079, 0.837], [0.195, 0.160, 0.510], [0.612, 0.220, 0.607], [0.805, 0.577, 0.917], [0.599, 0.760, 0.332], [0.255, 0.555, 0.604], [0.842, 0.612, 0.165], [0.133, 0.498, 0.557], [0.818, 0.070, 0.575], [0.342, 0.112, 0.335], [0.456, 0.812, 0.501], [0.361, 0.529, 0.336], [0.695, 0.923, 0.417], [0.388, 0.780, 0.393], [0.443, 0.907, 0.919], [0.564, 0.625, 0.539], [0.697, 0.024, 0.045], [0.544, 0.188, 0.499], [0.981, 0.505, 0.876], [0.401, 0.240, 0.668], [0.803, 0.476, 0.545], [0.781, 0.824, 0.553], [0.305, 0.077, 0.583], [0.233, 0.325, 0.372], [0.044, 0.688, 0.001], [0.976, 0.421, 0.817], [0.805, 0.840, 0.490], [0.574, 0.193, 0.462]]}

***

Entry 6:
{"formula": "MgSn2", "functional": "PBE-GGA", "state": "optimized geometry", "crystal_system": "orthorhombic", "lattice_angstrom": [[-3.645, 1.575, -4.073], [-1.684, 0.113, 5.433], [1.750, 5.175, 0.435]], "species": ["Sn", "Sn", "Mg", "Sn", "Sn", "Mg"], "fractional_positions": [[0.994, 0.663, 0.250], [0.337, 0.006, 0.750], [0.332, 0.332, 0.250], [0.663, 0.994, 0.250], [0.006, 0.337, 0.750], [0.668, 0.668, 0.750]]}

***

Number 1: formation enthalpy at 0 K -0.01 eV per atom. Number 2: formation enthalpy at 0 K -0.56 eV per atom. Number 3: formation enthalpy at 0 K -2.58 eV per atom. Number 4: formation enthalpy at 0 K -1.79 eV per atom. Number 5: formation enthalpy at 0 K -1.07 eV per atom. Number 6: formation enthalpy at 0 K -0.01 eV per atom.